A relaxed structure of Na2Ca4SiGe4S11O48, computed with PBE.

```
data_Na2Ca4SiGe4S11O48
_space_group_name_H-M_alt 'P 1'
_space_group_IT_number 1
_space_group_name_Hall 'P 1'
_cell_length_a 8.7647
_cell_length_b 15.2047
_cell_length_c 22.8290
_cell_angle_alpha 90.22
_cell_angle_beta 90.09
_cell_angle_gamma 90.15
loop_
_atom_site_label
_atom_site_type_symbol
_atom_site_fract_x
_atom_site_fract_y
_atom_site_fract_z
Na1 Na 0.0000 0.0000 0.0000
Na2 Na 0.0020 0.0052 0.5049
Na3 Na 0.5120 0.5044 0.4980
Na4 Na 0.5145 0.5027 0.0084
Na5 Na 0.5217 0.8442 0.8386
Na6 Na 0.9981 0.3451 0.3376
Ca1 Ca 0.0024 0.0080 0.8561
Ca2 Ca 0.0034 0.0110 0.3498
Ca3 Ca 0.0047 0.6778 0.5333
Ca4 Ca 0.0101 0.0102 0.1563
Ca5 Ca 0.0106 0.0064 0.6554
Ca6 Ca 0.4953 0.5097 0.6552
Ca7 Ca 0.5036 0.8409 0.4736
Ca8 Ca 0.5058 0.1833 0.8169
Ca9 Ca 0.5060 0.5061 0.8553
Ca10 Ca 0.5066 0.5025 0.1540
Ca11 Ca 0.5081 0.5009 0.3522
Ca12 Ca 0.5143 0.8382 0.9785
Si1 Si 0.6503 0.3165 0.4264
Si2 Si 0.7157 0.3393 0.0821
Si3 Si 0.8664 0.8161 0.9193
Ge1 Ge 0.9998 0.3426 0.6903
Ge2 Ge 0.0007 0.6830 0.0233
Ge3 Ge 0.0018 0.6770 0.3181
Ge4 Ge 0.0020 0.6778 0.8177
Ge5 Ge 0.5051 0.1787 0.5241
Ge6 Ge 0.5045 0.8426 0.1863
Ge7 Ge 0.5112 0.8422 0.6877
Ge8 Ge 0.5124 0.1789 0.0265
Ge9 Ge 0.5194 0.1839 0.3203
Ge10 Ge 0.9922 0.3412 0.1812
Ge11 Ge 0.9935 0.3414 0.4821
Ge12 Ge 0.9968 0.3466 0.9858
S1 S 0.1356 0.4903 0.0830
S2 S 0.1405 0.5252 0.4224
S3 S 0.1410 0.8181 0.4163
S4 S 0.1468 0.1710 0.7491
S5 S 0.1550 0.2043 0.0839
S6 S 0.1684 0.8477 0.7536
S7 S 0.1844 0.5113 0.7547
S8 S 0.2103 0.8323 0.0867
S9 S 0.2221 0.1796 0.4252
S10 S 0.2756 0.6714 0.9208
S11 S 0.2794 0.3357 0.5819
S12 S 0.3300 0.0120 0.2548
S13 S 0.3379 0.3460 0.2532
S14 S 0.3434 0.3219 0.9311
S15 S 0.3435 0.6689 0.2535
S16 S 0.3598 0.0402 0.9276
S17 S 0.3651 0.7031 0.5912
S18 S 0.3714 0.9978 0.5838
S19 S 0.6388 0.9940 0.0879
S20 S 0.6423 0.0428 0.4204
S21 S 0.6647 0.6662 0.7540
S22 S 0.6651 0.6977 0.0885
S23 S 0.6707 0.3591 0.7490
S24 S 0.6897 0.0022 0.7495
S25 S 0.7236 0.6751 0.4160
S26 S 0.7872 0.8441 0.5895
S27 S 0.8020 0.1830 0.9281
S28 S 0.8298 0.5090 0.2534
S29 S 0.8419 0.8489 0.2532
S30 S 0.8452 0.1713 0.2538
S31 S 0.8532 0.2023 0.5837
S32 S 0.8668 0.4762 0.5871
S33 S 0.8724 0.5300 0.9255
O1 O 0.0545 0.5757 0.0760
O2 O 0.0634 0.4328 0.4258
O3 O 0.0668 0.4484 0.1370
O4 O 0.0678 0.9050 0.4121
O5 O 0.0686 0.2621 0.7417
O6 O 0.0721 0.5639 0.3678
O7 O 0.0738 0.1339 0.8010
O8 O 0.0748 0.5867 0.7661
O9 O 0.0841 0.2475 0.0324
O10 O 0.0847 0.1177 0.0897
O11 O 0.0849 0.7756 0.4687
O12 O 0.0893 0.4310 0.7420
O13 O 0.0964 0.8837 0.7015
O14 O 0.1030 0.7639 0.3605
O15 O 0.1042 0.9059 0.0945
O16 O 0.1092 0.7556 0.7628
O17 O 0.1095 0.5738 0.4752
O18 O 0.1172 0.1205 0.6960
O19 O 0.1172 0.4319 0.0302
O20 O 0.1191 0.1047 0.4201
O21 O 0.1225 0.7457 0.0836
O22 O 0.1317 0.2598 0.1393
O23 O 0.1327 0.2643 0.4308
O24 O 0.1517 0.9027 0.8059
O25 O 0.1682 0.3337 0.2415
O26 O 0.1713 0.3280 0.9389
O27 O 0.1725 0.6808 0.2649
O28 O 0.1805 0.3511 0.5282
O29 O 0.1834 0.6587 0.9765
O30 O 0.1835 0.6728 0.8653
O31 O 0.1865 0.3238 0.6363
O32 O 0.1931 0.0368 0.9291
O33 O 0.2010 0.6966 0.5943
O34 O 0.2065 0.0138 0.5892
O35 O 0.2357 0.9920 0.3060
O36 O 0.2387 0.0323 0.2029
O37 O 0.2737 0.5334 0.7029
O38 O 0.2770 0.4933 0.8064
O39 O 0.2987 0.5031 0.0896
O40 O 0.3026 0.8453 0.0353
O41 O 0.3054 0.5129 0.4156
O42 O 0.3064 0.8250 0.4139
O43 O 0.3075 0.8225 0.1427
O44 O 0.3082 0.1888 0.7559
O45 O 0.3148 0.1624 0.4793
O46 O 0.3162 0.1924 0.3716
O47 O 0.3230 0.1972 0.0786
O48 O 0.3406 0.8391 0.7440
O49 O 0.3492 0.4007 0.3062
O50 O 0.3578 0.7547 0.9215
O51 O 0.3586 0.6137 0.2017
O52 O 0.3633 0.2743 0.8766
O53 O 0.3679 0.2521 0.5762
O54 O 0.3760 0.5947 0.9197
O55 O 0.3790 0.4125 0.5854
O56 O 0.3994 0.9458 0.5317
O57 O 0.4022 0.0934 0.9842
O58 O 0.4035 0.2550 0.2655
O59 O 0.4047 0.7573 0.6472
O60 O 0.4080 0.7610 0.2426
O61 O 0.4097 0.4107 0.9299
O62 O 0.4147 0.3817 0.2026
O63 O 0.4157 0.2764 0.9826
O64 O 0.4174 0.0825 0.8752
O65 O 0.4183 0.6332 0.3055
O66 O 0.4211 0.7464 0.5389
O67 O 0.4271 0.9530 0.9308
O68 O 0.4307 0.9323 0.2432
O69 O 0.4326 0.0898 0.2674
O70 O 0.4345 0.9582 0.6387
O71 O 0.4396 0.6168 0.5947
O72 O 0.4545 0.0884 0.5792
O73 O 0.5559 0.0801 0.0837
O74 O 0.5695 0.2695 0.4836
O75 O 0.5696 0.9503 0.1430
O76 O 0.5701 0.9580 0.4221
O77 O 0.5759 0.0848 0.3658
O78 O 0.5821 0.4126 0.4234
O79 O 0.5847 0.9189 0.7439
O80 O 0.5860 0.0753 0.7566
O81 O 0.5922 0.6308 0.8066
O82 O 0.5982 0.6115 0.0975
O83 O 0.6007 0.7363 0.0362
O84 O 0.6013 0.7580 0.7455
O85 O 0.6050 0.4000 0.6969
O86 O 0.6083 0.4227 0.0858
O87 O 0.6094 0.0944 0.4757
O88 O 0.6151 0.2477 0.0747
O89 O 0.6163 0.9398 0.0364
O90 O 0.6166 0.2698 0.7538
O91 O 0.6228 0.5981 0.4113
O92 O 0.6237 0.2599 0.3643
O93 O 0.6378 0.7568 0.1427
O94 O 0.6391 0.7571 0.4137
O95 O 0.6397 0.6133 0.7014
O96 O 0.6474 0.4120 0.8022
O97 O 0.6714 0.8381 0.2421
O98 O 0.6745 0.1806 0.2611
O99 O 0.6829 0.1974 0.5781
O100 O 0.6849 0.8180 0.9137
O101 O 0.6901 0.8409 0.6456
O102 O 0.6923 0.8513 0.5375
O103 O 0.6983 0.1682 0.9802
O104 O 0.7002 0.4815 0.5905
O105 O 0.7067 0.5173 0.9223
O106 O 0.7153 0.1969 0.8748
O107 O 0.7367 0.5268 0.2027
O108 O 0.7429 0.4871 0.3064
O109 O 0.7799 0.9823 0.8021
O110 O 0.7818 0.0109 0.6970
O111 O 0.8023 0.0094 0.0969
O112 O 0.8091 0.0389 0.4174
O113 O 0.8163 0.6656 0.4681
O114 O 0.8218 0.3223 0.1427
O115 O 0.8218 0.6788 0.3595
O116 O 0.8326 0.3583 0.0277
O117 O 0.8353 0.6742 0.7616
O118 O 0.8367 0.6903 0.0847
O119 O 0.8432 0.3187 0.4310
O120 O 0.8432 0.3564 0.7422
O121 O 0.8577 0.9037 0.3056
O122 O 0.8703 0.1174 0.2022
O123 O 0.8745 0.7635 0.5929
O124 O 0.8794 0.2562 0.6376
O125 O 0.8865 0.9224 0.5912
O126 O 0.8956 0.4232 0.5314
O127 O 0.8985 0.2653 0.9348
O128 O 0.8991 0.5857 0.9791
O129 O 0.9017 0.1064 0.9268
O130 O 0.9055 0.7578 0.2628
O131 O 0.9104 0.7535 0.8612
O132 O 0.9128 0.2627 0.2460
O133 O 0.9147 0.1367 0.3073
O134 O 0.9180 0.8865 0.2023
O135 O 0.9194 0.1150 0.5865
O136 O 0.9258 0.2443 0.5306
O137 O 0.9338 0.4307 0.6400
O138 O 0.9338 0.5871 0.2639
O139 O 0.9346 0.7705 0.9821
O140 O 0.9364 0.4304 0.2428
O141 O 0.9356 0.5677 0.8711
O142 O 0.9425 0.5592 0.5858
O143 O 0.9486 0.9099 0.9212
O144 O 0.9533 0.4428 0.9314
```

## Properties
DFT total energy = -6.20 eV/atom

=====

A relaxed structure of Na2Ca2Si3Ge6S9O48, computed with PBE.

```
data_Na2Ca2Si3Ge6S9O48
_space_group_name_H-M_alt 'P 1'
_space_group_IT_number 1
_space_group_name_Hall 'P 1'
_cell_length_a 8.5884
_cell_length_b 14.8272
_cell_length_c 22.4807
_cell_angle_alpha 89.19
_cell_angle_beta 89.95
_cell_angle_gamma 90.00
loop_
_atom_site_label
_atom_site_type_symbol
_atom_site_fract_x
_atom_site_fract_y
_atom_site_fract_z
Na1 Na 0.0000 0.0000 0.0000
Na2 Na 0.0002 0.0093 0.5073
Na3 Na 0.0067 0.6788 0.1680
Na4 Na 0.4811 0.1774 0.6705
Na5 Na 0.4883 0.5114 0.0056
Na6 Na 0.4947 0.5123 0.5039
Ca1 Ca 0.0068 0.6824 0.0233
Ca2 Ca 0.4839 0.1777 0.5255
Ca3 Ca 0.4980 0.5182 0.6509
Ca4 Ca 0.5053 0.1763 0.8233
Ca5 Ca 0.9830 0.6764 0.3233
Ca6 Ca 0.9935 0.0175 0.1488
Si1 Si 0.1276 0.1989 0.5942
Si2 Si 0.1436 0.8321 0.9204
Si3 Si 0.2235 0.8425 0.5882
Si4 Si 0.2670 0.3406 0.0879
Si5 Si 0.3600 0.6966 0.0936
Si6 Si 0.6460 0.3678 0.2516
Si7 Si 0.6536 0.3277 0.9218
Si8 Si 0.8365 0.8282 0.4220
Si9 Si 0.8425 0.8668 0.7504
Ge1 Ge 0.9998 0.3501 0.9831
Ge2 Ge 0.0009 0.6958 0.8189
Ge3 Ge 0.0065 0.6960 0.5273
Ge4 Ge 0.0080 0.0003 0.6463
Ge5 Ge 0.4810 0.8298 0.9825
Ge6 Ge 0.4818 0.1941 0.0246
Ge7 Ge 0.4831 0.4987 0.1449
Ge8 Ge 0.4865 0.8471 0.1884
Ge9 Ge 0.4879 0.8420 0.6962
Ge10 Ge 0.4954 0.8479 0.4861
Ge11 Ge 0.4998 0.1853 0.3162
Ge12 Ge 0.5007 0.5031 0.8566
Ge13 Ge 0.5065 0.5087 0.3476
Ge14 Ge 0.9718 0.0010 0.8526
Ge15 Ge 0.9910 0.3393 0.1908
Ge16 Ge 0.9924 0.0006 0.3547
Ge17 Ge 0.9943 0.3351 0.4876
Ge18 Ge 0.9994 0.3435 0.6955
S1 S 0.1247 0.4909 0.5823
S2 S 0.1454 0.1587 0.2595
S3 S 0.1467 0.5293 0.9152
S4 S 0.1568 0.8662 0.2533
S5 S 0.1925 0.1783 0.9253
S6 S 0.2099 0.5056 0.2502
S7 S 0.2795 0.0068 0.7497
S8 S 0.2987 0.6758 0.4243
S9 S 0.3354 0.3664 0.7536
S10 S 0.3425 0.3322 0.4173
S11 S 0.3431 0.0304 0.4149
S12 S 0.3431 0.6583 0.7588
S13 S 0.3664 0.9910 0.0823
S14 S 0.6277 0.6565 0.2498
S15 S 0.6428 0.0241 0.9275
S16 S 0.6426 0.9831 0.5921
S17 S 0.6507 0.7043 0.5837
S18 S 0.6914 0.0110 0.2579
S19 S 0.6965 0.6762 0.9168
S20 S 0.7191 0.3452 0.5894
S21 S 0.7662 0.8441 0.0879
S22 S 0.7970 0.1780 0.4173
S23 S 0.8016 0.5121 0.7579
S24 S 0.8396 0.2056 0.0833
S25 S 0.8438 0.5210 0.4268
S26 S 0.8473 0.4843 0.0919
S27 S 0.8626 0.1538 0.7511
O1 O 0.0353 0.1009 0.5987
O2 O 0.0425 0.5783 0.5728
O3 O 0.0536 0.8084 0.9798
O4 O 0.0565 0.2396 0.5289
O5 O 0.0595 0.4541 0.6390
O6 O 0.0645 0.1122 0.3113
O7 O 0.0683 0.5730 0.8638
O8 O 0.0712 0.2485 0.2545
O9 O 0.0745 0.9338 0.9033
O10 O 0.0803 0.4367 0.9211
O11 O 0.0871 0.9071 0.2009
O12 O 0.0883 0.1003 0.9200
O13 O 0.0971 0.2603 0.9364
O14 O 0.0992 0.2701 0.6491
O15 O 0.0996 0.4295 0.5298
O16 O 0.1022 0.7745 0.2602
O17 O 0.1092 0.5840 0.2555
O18 O 0.1101 0.9306 0.5930
O19 O 0.1192 0.7623 0.8641
O20 O 0.1201 0.4210 0.2463
O21 O 0.1228 0.7496 0.5804
O22 O 0.1236 0.9216 0.3091
O23 O 0.1354 0.1074 0.2055
O24 O 0.1365 0.5784 0.9704
O25 O 0.1586 0.3693 0.7514
O26 O 0.1617 0.3225 0.1482
O27 O 0.1648 0.3651 0.0283
O28 O 0.1702 0.3406 0.4254
O29 O 0.1706 0.0224 0.4039
O30 O 0.1722 0.6650 0.7685
O31 O 0.1778 0.6826 0.0942
O32 O 0.1824 0.9963 0.8035
O33 O 0.1873 0.0229 0.6940
O34 O 0.1956 0.6536 0.4775
O35 O 0.1974 0.0019 0.0857
O36 O 0.2123 0.6925 0.3702
O37 O 0.2814 0.1961 0.8714
O38 O 0.2942 0.5018 0.5844
O39 O 0.2975 0.1560 0.9785
O40 O 0.3078 0.4935 0.3067
O41 O 0.3077 0.5230 0.1968
O42 O 0.3109 0.1881 0.5935
O43 O 0.3158 0.1692 0.2719
O44 O 0.3206 0.5199 0.9048
O45 O 0.3236 0.8651 0.5271
O46 O 0.3306 0.8230 0.6472
O47 O 0.3325 0.8698 0.2499
O48 O 0.3343 0.8388 0.9281
O49 O 0.3532 0.0820 0.4693
O50 O 0.3598 0.6092 0.7040
O51 O 0.3672 0.2712 0.3656
O52 O 0.3695 0.2489 0.0794
O53 O 0.3699 0.4223 0.8079
O54 O 0.3699 0.9208 0.7455
O55 O 0.3800 0.4289 0.0934
O56 O 0.3813 0.7670 0.1501
O57 O 0.3856 0.0834 0.7526
O58 O 0.3890 0.2742 0.7595
O59 O 0.3963 0.9299 0.0322
O60 O 0.3986 0.7550 0.4362
O61 O 0.4000 0.4058 0.6996
O62 O 0.4017 0.5933 0.4178
O63 O 0.4084 0.4251 0.4052
O64 O 0.4113 0.9397 0.4202
O65 O 0.4161 0.7493 0.7544
O66 O 0.4204 0.3011 0.4712
O67 O 0.4236 0.0770 0.3635
O68 O 0.4245 0.6129 0.8104
O69 O 0.4301 0.9558 0.1414
O70 O 0.4372 0.7377 0.0310
O71 O 0.4479 0.0791 0.0748
O72 O 0.4557 0.5993 0.0994
O73 O 0.5550 0.2834 0.9797
O74 O 0.5568 0.4140 0.1956
O75 O 0.5566 0.7481 0.2471
O76 O 0.5599 0.6197 0.3101
O77 O 0.5648 0.2690 0.2663
O78 O 0.5655 0.4291 0.9144
O79 O 0.5693 0.0529 0.8724
O80 O 0.5723 0.9386 0.6450
O81 O 0.5782 0.0740 0.5900
O82 O 0.5797 0.7503 0.5314
O83 O 0.5810 0.6142 0.5826
O84 O 0.5832 0.6005 0.9052
O85 O 0.5871 0.0892 0.2704
O86 O 0.5866 0.5979 0.2008
O87 O 0.5918 0.9306 0.9405
O88 O 0.5956 0.9282 0.2505
O89 O 0.6049 0.7611 0.9230
O90 O 0.6142 0.9347 0.5357
O91 O 0.6183 0.0859 0.9782
O92 O 0.6202 0.4255 0.5878
O93 O 0.6258 0.7520 0.6399
O94 O 0.6281 0.4305 0.3119
O95 O 0.6323 0.2613 0.5885
O96 O 0.6484 0.2742 0.8622
O97 O 0.6552 0.8485 0.4392
O98 O 0.6556 0.8521 0.7398
O99 O 0.6671 0.5130 0.4193
O100 O 0.6676 0.1976 0.0774
O101 O 0.6691 0.8531 0.0337
O102 O 0.6740 0.4849 0.0961
O103 O 0.6762 0.8419 0.1473
O104 O 0.6923 0.1949 0.3642
O105 O 0.6936 0.1622 0.7517
O106 O 0.6953 0.4908 0.8104
O107 O 0.7103 0.1573 0.4711
O108 O 0.7140 0.5321 0.7041
O109 O 0.7793 0.6516 0.9707
O110 O 0.7806 0.0334 0.2053
O111 O 0.7940 0.9928 0.3118
O112 O 0.7974 0.6622 0.2523
O113 O 0.7979 0.6899 0.8632
O114 O 0.8124 0.3560 0.5329
O115 O 0.8130 0.3427 0.6456
O116 O 0.8158 0.9861 0.5954
O117 O 0.8203 0.0221 0.9186
O118 O 0.8237 0.6960 0.5773
O119 O 0.8323 0.3512 0.2407
O120 O 0.8339 0.3483 0.9397
O121 O 0.8429 0.7742 0.3628
O122 O 0.8531 0.7601 0.0900
O123 O 0.8545 0.9314 0.8090
O124 O 0.8631 0.2532 0.1410
O125 O 0.8639 0.9250 0.0880
O126 O 0.8683 0.5803 0.4779
O127 O 0.8766 0.4343 0.0364
O128 O 0.8923 0.2624 0.4231
O129 O 0.8946 0.4258 0.7500
O130 O 0.9039 0.0992 0.6994
O131 O 0.9039 0.1013 0.4054
O132 O 0.9058 0.5871 0.7714
O133 O 0.9088 0.4270 0.4373
O134 O 0.9102 0.5749 0.0902
O135 O 0.9109 0.1164 0.0837
O136 O 0.9125 0.2532 0.0323
O137 O 0.9149 0.5507 0.3715
O138 O 0.9173 0.4408 0.1461
O139 O 0.9203 0.7674 0.7634
O140 O 0.9248 0.9299 0.4144
O141 O 0.9300 0.1159 0.8091
O142 O 0.9312 0.9130 0.6936
O143 O 0.9344 0.2470 0.7489
O144 O 0.9346 0.7830 0.4801
```

## Properties
DFT total energy = -6.28 eV/atom